(1)
Rb3Ti4TlP4O20 after structural relaxation. Source: the Materials Project, functional PBE.

Values from the calculation:
Symmetry: P2_1, No. 4
Energy of formation, kJ per mole of atoms: -287.1
Density, Mg/m³: 3.9

a b c (Å): 10.6882 6.5754 13.1252
angles (deg): 89.90 90.00 90.00
Fractional coordinates of all 64 atoms:
Rb (0.4248, 0.6952, 0.8944)
Rb (0.9248, 0.3048, 0.1056)
Rb (0.6743, 0.2829, 0.8832)
Rb (0.1743, 0.7171, 0.1168)
Rb (0.1735, 0.7842, 0.6161)
Rb (0.6735, 0.2158, 0.3839)
Ti (0.9978, 0.9986, 0.8713)
Ti (0.4978, 0.0014, 0.1287)
Ti (0.4979, 0.4982, 0.6291)
Ti (0.9979, 0.5018, 0.3709)
Ti (0.7462, 0.7655, 0.7469)
Ti (0.2462, 0.2345, 0.2531)
Ti (0.2463, 0.2647, 0.7530)
Ti (0.7463, 0.7353, 0.2470)
Tl (0.9248, 0.1992, 0.6049)
Tl (0.4248, 0.8008, 0.3951)
P (0.4879, 0.0024, 0.6802)
P (0.9879, 0.9976, 0.3198)
P (0.9879, 0.5018, 0.8196)
P (0.4879, 0.4982, 0.1804)
P (0.7409, 0.8346, 0.9996)
P (0.2409, 0.1654, 0.0004)
P (0.2407, 0.3350, 0.5000)
P (0.7407, 0.6650, 0.5000)
O (0.8522, 0.9798, 0.9861)
O (0.3522, 0.0202, 0.0139)
O (0.3523, 0.4812, 0.5130)
O (0.8523, 0.5188, 0.4870)
O (0.7621, 0.6960, 0.0951)
O (0.2621, 0.3040, 0.9049)
O (0.2615, 0.1971, 0.4047)
O (0.7615, 0.8029, 0.5953)
O (0.5166, 0.1920, 0.6140)
O (0.0166, 0.8080, 0.3860)
O (0.0166, 0.6912, 0.8858)
O (0.5166, 0.3088, 0.1142)
O (0.3730, 0.0445, 0.7510)
O (0.8730, 0.9555, 0.2490)
O (0.8730, 0.5445, 0.7487)
O (0.3730, 0.4555, 0.2513)
O (0.6119, 0.5485, 0.7230)
O (0.1119, 0.4515, 0.2770)
O (0.1123, 0.0487, 0.7774)
O (0.6123, 0.9513, 0.2226)
O (0.3586, 0.4598, 0.7207)
O (0.8586, 0.5402, 0.2793)
O (0.8584, 0.9605, 0.7791)
O (0.3584, 0.0395, 0.2209)
O (0.6011, 0.9578, 0.7513)
O (0.1011, 0.0422, 0.2487)
O (0.1014, 0.4581, 0.7486)
O (0.6014, 0.5419, 0.2514)
O (0.6183, 0.9611, 0.0143)
O (0.1183, 0.0389, 0.9857)
O (0.1179, 0.4612, 0.4858)
O (0.6179, 0.5388, 0.5142)
O (0.4576, 0.8127, 0.6148)
O (0.9576, 0.1873, 0.3852)
O (0.9576, 0.3127, 0.8854)
O (0.4576, 0.6873, 0.1146)
O (0.7194, 0.7030, 0.9025)
O (0.2194, 0.2970, 0.0975)
O (0.2203, 0.2039, 0.5975)
O (0.7203, 0.7961, 0.4025)

***

(2)
Rb3Ti4TlP4O20 after structural relaxation. Source: the Materials Project, functional PBE.

Values from the calculation:
Symmetry: P2_1, No. 4
Energy of formation, kJ per mole of atoms: -287.1
Density, Mg/m³: 3.9

a b c (Å): 10.6892 6.5732 13.1323
angles (deg): 89.96 90.00 90.00
Fractional coordinates of all 64 atoms:
Rb (0.1741, 0.7830, 0.6167)
Rb (0.6741, 0.2170, 0.3833)
Rb (0.9248, 0.1954, 0.6057)
Rb (0.4248, 0.8046, 0.3943)
Rb (0.4247, 0.6942, 0.8948)
Rb (0.9247, 0.3058, 0.1052)
Ti (0.9979, 0.9977, 0.8713)
Ti (0.4979, 0.0023, 0.1287)
Ti (0.4977, 0.4982, 0.6288)
Ti (0.9977, 0.5018, 0.3712)
Ti (0.7465, 0.7647, 0.7472)
Ti (0.2465, 0.2353, 0.2528)
Ti (0.2463, 0.2649, 0.7530)
Ti (0.7463, 0.7351, 0.2470)
Tl (0.6743, 0.2823, 0.8823)
Tl (0.1743, 0.7177, 0.1177)
P (0.4878, 0.0025, 0.6805)
P (0.9878, 0.9975, 0.3195)
P (0.9879, 0.5022, 0.8196)
P (0.4879, 0.4978, 0.1804)
P (0.7410, 0.8342, 0.9996)
P (0.2410, 0.1658, 0.0004)
P (0.2409, 0.3341, 0.5003)
P (0.7409, 0.6659, 0.4997)
O (0.8524, 0.9801, 0.9860)
O (0.3524, 0.0199, 0.0140)
O (0.3524, 0.4801, 0.5139)
O (0.8524, 0.5199, 0.4861)
O (0.7617, 0.6966, 0.0951)
O (0.2617, 0.3034, 0.9049)
O (0.2620, 0.1962, 0.4050)
O (0.7620, 0.8038, 0.5950)
O (0.5167, 0.1917, 0.6138)
O (0.0167, 0.8083, 0.3862)
O (0.0164, 0.6919, 0.8856)
O (0.5164, 0.3081, 0.1144)
O (0.3729, 0.0446, 0.7509)
O (0.8729, 0.9554, 0.2491)
O (0.8732, 0.5448, 0.7488)
O (0.3732, 0.4552, 0.2512)
O (0.6121, 0.5469, 0.7233)
O (0.1121, 0.4531, 0.2767)
O (0.1118, 0.0481, 0.7772)
O (0.6118, 0.9519, 0.2228)
O (0.3585, 0.4601, 0.7205)
O (0.8585, 0.5399, 0.2795)
O (0.8583, 0.9605, 0.7792)
O (0.3583, 0.0395, 0.2208)
O (0.6013, 0.9586, 0.7515)
O (0.1013, 0.0414, 0.2485)
O (0.1012, 0.4580, 0.7487)
O (0.6012, 0.5420, 0.2513)
O (0.6181, 0.9609, 0.0141)
O (0.1181, 0.0391, 0.9859)
O (0.1183, 0.4611, 0.4856)
O (0.6183, 0.5389, 0.5144)
O (0.4578, 0.8128, 0.6150)
O (0.9578, 0.1872, 0.3850)
O (0.9573, 0.3125, 0.8851)
O (0.4573, 0.6875, 0.1149)
O (0.7196, 0.7035, 0.9023)
O (0.2196, 0.2965, 0.0977)
O (0.2193, 0.2031, 0.5975)
O (0.7193, 0.7969, 0.4025)

***

(3)
RbTmP4O12 after structural relaxation. Source: the Materials Project, functional PBE.

Values from the calculation:
Symmetry: P2_1/c, No. 14
Energy of formation, kJ per mole of atoms: -282.0
Density, Mg/m³: 3.9

a b c (Å): 8.8939 10.3543 12.8165
angles (deg): 55.86 90.00 90.00
Fractional coordinates of all 72 atoms:
Rb (0.0645, 0.7680, 0.0415)
Rb (0.5645, 0.2320, 0.4585)
Rb (0.9355, 0.2320, 0.9585)
Rb (0.4355, 0.7680, 0.5415)
Tm (0.2729, 0.3151, 0.1829)
Tm (0.7729, 0.6849, 0.3171)
Tm (0.7271, 0.6849, 0.8171)
Tm (0.2271, 0.3151, 0.6829)
P (0.0253, 0.9741, 0.2799)
P (0.5253, 0.0259, 0.2201)
P (0.9747, 0.0259, 0.7201)
P (0.4747, 0.9741, 0.7799)
P (0.1707, 0.6733, 0.3675)
P (0.6707, 0.3267, 0.1325)
P (0.8293, 0.3267, 0.6325)
P (0.3293, 0.6733, 0.8675)
P (0.4093, 0.6094, 0.2422)
P (0.9093, 0.3906, 0.2578)
P (0.5907, 0.3906, 0.7578)
P (0.0907, 0.6094, 0.7422)
P (0.1126, 0.1993, 0.4760)
P (0.6126, 0.8007, 0.0240)
P (0.8874, 0.8007, 0.5240)
P (0.3874, 0.1993, 0.9760)
O (0.4507, 0.0382, 0.0988)
O (0.9507, 0.9618, 0.4012)
O (0.5493, 0.9618, 0.9012)
O (0.0493, 0.0382, 0.5988)
O (0.0435, 0.4242, 0.1752)
O (0.5435, 0.5758, 0.3248)
O (0.9565, 0.5758, 0.8248)
O (0.4565, 0.4242, 0.6752)
O (0.0944, 0.1329, 0.1994)
O (0.5944, 0.8671, 0.3006)
O (0.9056, 0.8671, 0.8006)
O (0.4056, 0.1329, 0.6994)
O (0.3248, 0.4755, 0.2562)
O (0.8248, 0.5245, 0.2438)
O (0.6752, 0.5245, 0.7438)
O (0.1752, 0.4755, 0.7562)
O (0.4146, 0.0732, 0.2818)
O (0.9146, 0.9268, 0.2182)
O (0.5854, 0.9268, 0.7182)
O (0.0854, 0.0732, 0.7818)
O (0.0257, 0.6311, 0.3342)
O (0.5257, 0.3689, 0.1658)
O (0.9743, 0.3689, 0.6658)
O (0.4743, 0.6311, 0.8342)
O (0.1587, 0.8442, 0.3443)
O (0.6587, 0.1558, 0.1557)
O (0.8413, 0.1558, 0.6557)
O (0.3413, 0.8442, 0.8443)
O (0.2902, 0.7182, 0.2558)
O (0.7902, 0.2818, 0.2442)
O (0.7098, 0.2818, 0.7442)
O (0.2098, 0.7182, 0.7558)
O (0.3289, 0.2970, 0.0196)
O (0.8289, 0.7030, 0.4804)
O (0.6711, 0.7030, 0.9804)
O (0.1711, 0.2970, 0.5196)
O (0.2152, 0.1652, 0.4012)
O (0.7152, 0.8348, 0.0988)
O (0.7848, 0.8348, 0.5988)
O (0.2848, 0.1652, 0.9012)
O (0.4535, 0.7313, 0.0968)
O (0.9535, 0.2687, 0.4032)
O (0.5465, 0.2687, 0.9032)
O (0.0465, 0.7313, 0.5968)
O (0.2418, 0.5681, 0.4941)
O (0.7418, 0.4319, 0.0059)
O (0.7582, 0.4319, 0.5059)
O (0.2582, 0.5681, 0.9941)

***

(4)
Rb2U5P4O28 after structural relaxation. Source: the Materials Project, functional PBE.

Values from the calculation:
Symmetry: Cm, No. 8
Energy of formation, kJ per mole of atoms: -285.8
Density, Mg/m³: 4.4

a b c (Å): 10.3212 10.3212 9.5157
angles (deg): 64.30 64.30 100.58
Fractional coordinates of all 39 atoms:
Rb (0.6511, 0.6511, 0.4329)
Rb (0.2137, 0.2137, 0.4290)
U (0.7316, 0.2648, 0.6971)
U (0.2648, 0.7316, 0.6971)
U (0.1236, 0.6710, 0.2025)
U (0.6710, 0.1236, 0.2025)
U (0.7109, 0.7109, 0.9094)
P (0.9482, 0.5130, 0.7160)
P (0.5130, 0.9482, 0.7160)
P (0.8530, 0.4788, 0.1839)
P (0.4788, 0.8530, 0.1839)
O (0.8815, 0.1994, 0.6161)
O (0.1994, 0.8815, 0.6161)
O (0.5939, 0.3459, 0.7657)
O (0.3459, 0.5939, 0.7657)
O (0.1157, 0.5548, 0.6793)
O (0.5548, 0.1157, 0.6793)
O (0.0377, 0.5985, 0.0215)
O (0.5985, 0.0377, 0.0215)
O (0.8414, 0.4560, 0.3646)
O (0.4560, 0.8414, 0.3646)
O (0.9551, 0.5375, 0.5386)
O (0.5375, 0.9551, 0.5386)
O (0.8326, 0.3272, 0.8687)
O (0.3272, 0.8326, 0.8687)
O (0.0397, 0.8116, 0.1746)
O (0.8116, 0.0397, 0.1746)
O (0.1932, 0.5192, 0.2405)
O (0.5192, 0.1932, 0.2405)
O (0.8144, 0.3179, 0.2037)
O (0.3179, 0.8144, 0.2037)
O (0.5349, 0.5349, 0.0115)
O (0.8869, 0.8869, 0.8094)
O (0.8764, 0.6109, 0.7789)
O (0.6109, 0.8764, 0.7789)
O (0.7446, 0.5534, 0.1517)
O (0.5534, 0.7446, 0.1517)
O (0.8033, 0.8033, 0.6000)
O (0.3495, 0.3495, 0.5928)

***

(5)
Rb2Zn3P4O14 after structural relaxation. Source: the Materials Project, functional PBE.

Values from the calculation:
Symmetry: P2_1, No. 4
Energy of formation, kJ per mole of atoms: -244.7
Density, Mg/m³: 3.3

a b c (Å): 7.3432 7.3091 13.4313
angles (deg): 87.77 90.00 90.00
Fractional coordinates of all 46 atoms:
Rb (0.7505, 0.0537, 0.4166)
Rb (0.2505, 0.9463, 0.5834)
Rb (0.9933, 0.6111, 0.0933)
Rb (0.4933, 0.3889, 0.9067)
Zn (0.6204, 0.7918, 0.7368)
Zn (0.9999, 0.2096, 0.9015)
Zn (0.0892, 0.4516, 0.6133)
Zn (0.1204, 0.2082, 0.2632)
Zn (0.4999, 0.7904, 0.0985)
Zn (0.5892, 0.5484, 0.3867)
P (0.5122, 0.4329, 0.6119)
P (0.9864, 0.6356, 0.8162)
P (0.4864, 0.3644, 0.1838)
P (0.2879, 0.8348, 0.3101)
P (0.7879, 0.1652, 0.6899)
P (0.2757, 0.8884, 0.8921)
P (0.0122, 0.5671, 0.3881)
P (0.7757, 0.1116, 0.1079)
O (0.3465, 0.7663, 0.9791)
O (0.2797, 0.3426, 0.1684)
O (0.7797, 0.6574, 0.8316)
O (0.1499, 0.6611, 0.3055)
O (0.6499, 0.3389, 0.6945)
O (0.0662, 0.4706, 0.8753)
O (0.4467, 0.7768, 0.3785)
O (0.8905, 0.1228, 0.2018)
O (0.6856, 0.0029, 0.6465)
O (0.0406, 0.6479, 0.7063)
O (0.8296, 0.6627, 0.3673)
O (0.0110, 0.3641, 0.3652)
O (0.5717, 0.1870, 0.1316)
O (0.7361, 0.9135, 0.0796)
O (0.5406, 0.3521, 0.2937)
O (0.5662, 0.5294, 0.1247)
O (0.3905, 0.8772, 0.7982)
O (0.3296, 0.3373, 0.6327)
O (0.2361, 0.0865, 0.9204)
O (0.0893, 0.6074, 0.4908)
O (0.5110, 0.6359, 0.6348)
O (0.9467, 0.2232, 0.6215)
O (0.1856, 0.9971, 0.3535)
O (0.3353, 0.8732, 0.2008)
O (0.5893, 0.3926, 0.5092)
O (0.0717, 0.8130, 0.8684)
O (0.8465, 0.2337, 0.0209)
O (0.8353, 0.1268, 0.7992)

***

(6)
RePO5 after structural relaxation. Source: the Materials Project, functional PBE.

Values from the calculation:
Symmetry: C2/c, No. 15
Energy of formation, kJ per mole of atoms: -224.3
Density, Mg/m³: 4.8

a b c (Å): 8.8150 8.8150 5.2581
angles (deg): 89.56 89.56 89.68
Fractional coordinates of all 28 atoms:
Re (0.0461, 0.2477, 0.7382)
Re (0.7523, 0.9539, 0.7618)
Re (0.9539, 0.7523, 0.2618)
Re (0.2477, 0.0461, 0.2382)
P (0.1639, 0.6037, 0.7800)
P (0.3963, 0.8361, 0.7200)
P (0.8361, 0.3963, 0.2200)
P (0.6037, 0.1639, 0.2800)
O (0.3075, 0.9332, 0.9075)
O (0.0668, 0.6925, 0.5925)
O (0.6925, 0.0668, 0.0925)
O (0.9332, 0.3075, 0.4075)
O (0.6628, 0.3372, 0.2500)
O (0.3372, 0.6628, 0.7500)
O (0.5650, 0.8224, 0.7880)
O (0.1776, 0.4350, 0.7120)
O (0.4350, 0.1776, 0.2120)
O (0.8224, 0.5650, 0.2880)
O (0.8864, 0.3738, 0.9414)
O (0.6262, 0.1136, 0.5586)
O (0.1136, 0.6262, 0.0586)
O (0.3738, 0.8864, 0.4414)
O (0.9155, 0.0845, 0.7500)
O (0.0845, 0.9155, 0.2500)
O (0.1825, 0.1467, 0.5244)
O (0.8533, 0.8175, 0.9756)
O (0.8175, 0.8533, 0.4756)
O (0.1467, 0.1825, 0.0244)